[1]
Entry from Materials Project: Ca3CdO4 after structural relaxation (GGA-PBE).

Cell: 3.4107 3.4107 9.6093 Å, 90.00 90.00 90.00°
Sites, in units of the cell vectors:
Ca 0.0000 0.0000 0.0000
Ca 0.5000 0.5000 0.2532
Ca 0.5000 0.5000 0.7468
Cd 0.0000 0.0000 0.5000
O 0.0000 0.0000 0.2481
O 0.0000 0.0000 0.7519
O 0.5000 0.5000 0.0000
O 0.5000 0.5000 0.5000

Values from the calculation:
Its symmetry is P4/mmm. The value obtained for the energy is -5.83 eV per atom. The value obtained for the calculated density is 4.41 g/cm³.

---

[2]
Entry from Materials Project: Ca3Cd5P8O28 after structural relaxation (GGA-PBE).

Cell: 6.7571 6.7581 13.4195 Å, 87.16 84.11 65.75°
Sites, in units of the cell vectors:
Ca 0.0000 0.0000 0.0000
Ca 0.0005 0.9995 0.5004
Ca 0.5273 0.3744 0.3777
Cd 0.1531 0.4277 0.1144
Cd 0.1527 0.4279 0.6148
Cd 0.3750 0.9462 0.2635
Cd 0.3751 0.9463 0.7641
Cd 0.5299 0.3732 0.8777
P 0.0257 0.4562 0.3653
P 0.0259 0.4561 0.8647
P 0.5012 0.9188 0.0127
P 0.5018 0.9178 0.5131
P 0.6293 0.4960 0.6238
P 0.6294 0.4976 0.1228
P 0.8986 0.8768 0.2549
P 0.8987 0.8773 0.7551
O 0.0042 0.7964 0.6492
O 0.0047 0.7961 0.1491
O 0.0467 0.9301 0.3171
O 0.0470 0.9303 0.8172
O 0.1355 0.5220 0.4451
O 0.1367 0.5212 0.9447
O 0.2086 0.3267 0.7832
O 0.2099 0.3273 0.2841
O 0.3177 0.0470 0.0943
O 0.3176 0.0469 0.5942
O 0.3913 0.8536 0.9331
O 0.3924 0.8519 0.4332
O 0.4804 0.4441 0.0609
O 0.4809 0.4441 0.5614
O 0.5226 0.5770 0.7303
O 0.5229 0.5777 0.2287
O 0.6452 0.0331 0.4723
O 0.6458 0.0337 0.9722
O 0.6634 0.7037 0.5681
O 0.6642 0.7046 0.0670
O 0.6653 0.0520 0.2564
O 0.6649 0.0523 0.7561
O 0.8625 0.3223 0.1218
O 0.8627 0.3217 0.6219
O 0.8634 0.6702 0.3110
O 0.8634 0.6706 0.8109
O 0.8825 0.3408 0.4060
O 0.8820 0.3411 0.9063

Values from the calculation:
Its symmetry is P1. The calculation puts the magnetic moment at 0.005 μB per formula unit. The value obtained for the energy is -6.61 eV per atom. The value obtained for the calculated density is 4.12 g/cm³.

---

[3]
Entry from Materials Project: Ca2CdP2 after structural relaxation (GGA-PBE).

Cell: 8.3335 8.3335 7.0880 Å, 90.00 90.00 150.72°
Sites, in units of the cell vectors:
Ca 0.0352 0.9648 0.5000
Ca 0.2011 0.7989 0.1564
Ca 0.7989 0.2011 0.6564
Ca 0.9648 0.0352 0.0000
Cd 0.4008 0.5992 0.3384
Cd 0.5992 0.4008 0.8384
P 0.1808 0.8192 0.7346
P 0.4372 0.5628 0.7099
P 0.5628 0.4372 0.2099
P 0.8192 0.1808 0.2346

Values from the calculation:
The calculation puts the largest piezoelectric modulus at 0.74 C/m². Its symmetry is Cmc2_1. The value obtained for the energy is -4.05 eV per atom. The value obtained for the calculated density is 3.51 g/cm³.

---

[4]
Entry from Materials Project: CaCdPd2 after structural relaxation (GGA-PBE).

Cell: 6.7904 6.7904 6.7904 Å, 90.00 90.00 90.00°
Sites, in units of the cell vectors:
Ca 0.0000 0.0000 0.0000
Ca 0.0000 0.5000 0.5000
Ca 0.5000 0.0000 0.5000
Ca 0.5000 0.5000 0.0000
Cd 0.0000 0.0000 0.5000
Cd 0.0000 0.5000 0.0000
Cd 0.5000 0.0000 0.0000
Cd 0.5000 0.5000 0.5000
Pd 0.2500 0.2500 0.2500
Pd 0.2500 0.2500 0.7500
Pd 0.2500 0.7500 0.2500
Pd 0.2500 0.7500 0.7500
Pd 0.7500 0.2500 0.2500
Pd 0.7500 0.2500 0.7500
Pd 0.7500 0.7500 0.2500
Pd 0.7500 0.7500 0.7500

Values from the calculation:
Its symmetry is Fm-3m. The calculation puts the magnetic moment at 0.000 μB per formula unit. The value obtained for the energy is -3.89 eV per atom. The value obtained for the calculated density is 7.75 g/cm³.

---

[5]
Entry from Materials Project: CaCdPd after structural relaxation (GGA-PBE).

Cell: 7.1960 4.4805 8.5832 Å, 90.00 90.00 90.00°
Sites, in units of the cell vectors:
Ca 0.0356 0.2500 0.1792
Ca 0.4644 0.7500 0.6792
Ca 0.5356 0.2500 0.3208
Ca 0.9644 0.7500 0.8208
Cd 0.1462 0.2500 0.5604
Cd 0.3538 0.7500 0.0604
Cd 0.6462 0.2500 0.9396
Cd 0.8538 0.7500 0.4396
Pd 0.2412 0.7500 0.3709
Pd 0.2588 0.2500 0.8709
Pd 0.7412 0.7500 0.1291
Pd 0.7588 0.2500 0.6291

Values from the calculation:
Its symmetry is Pnma. The value obtained for the energy is -3.30 eV per atom. The value obtained for the calculated density is 6.21 g/cm³.

---

[6]
Entry from Materials Project: CaPmCd2 after structural relaxation (GGA-PBE).

Cell: 7.6660 7.6660 7.6660 Å, 90.00 90.00 90.00°
Sites, in units of the cell vectors:
Ca 0.0000 0.0000 0.0000
Ca 0.0000 0.5000 0.5000
Ca 0.5000 0.0000 0.5000
Ca 0.5000 0.5000 0.0000
Pm 0.0000 0.0000 0.5000
Pm 0.0000 0.5000 0.0000
Pm 0.5000 0.0000 0.0000
Pm 0.5000 0.5000 0.5000
Cd 0.2500 0.2500 0.2500
Cd 0.2500 0.2500 0.7500
Cd 0.2500 0.7500 0.2500
Cd 0.2500 0.7500 0.7500
Cd 0.7500 0.2500 0.2500
Cd 0.7500 0.2500 0.7500
Cd 0.7500 0.7500 0.2500
Cd 0.7500 0.7500 0.7500

Values from the calculation:
Its symmetry is Fm-3m. The value obtained for the energy is -2.51 eV per atom. The value obtained for the calculated density is 6.04 g/cm³.

---

[7]
Entry from Materials Project: Ca3Cd8Pt4 after structural relaxation (GGA-PBE).

Cell: 9.7137 9.7137 9.7137 Å, 60.00 60.00 60.00°
Sites, in units of the cell vectors:
Ca 0.2111 0.2111 0.7889
Ca 0.2111 0.7889 0.2111
Ca 0.2111 0.7889 0.7889
Ca 0.7889 0.2111 0.2111
Ca 0.7889 0.2111 0.7889
Ca 0.7889 0.7889 0.2111
Cd 0.1409 0.6197 0.6197
Cd 0.1648 0.1648 0.1648
Cd 0.1648 0.1648 0.5057
Cd 0.1648 0.5057 0.1648
Cd 0.3803 0.3803 0.3803
Cd 0.3803 0.3803 0.8591
Cd 0.3803 0.8591 0.3803
Cd 0.4943 0.8352 0.8352
Cd 0.5057 0.1648 0.1648
Cd 0.6197 0.1409 0.6197
Cd 0.6197 0.6197 0.1409
Cd 0.6197 0.6197 0.6197
Cd 0.8352 0.4943 0.8352
Cd 0.8352 0.8352 0.4943
Cd 0.8352 0.8352 0.8352
Cd 0.8591 0.3803 0.3803
Pt 0.0000 0.0000 0.0000
Pt 0.0000 0.0000 0.5000
Pt 0.0000 0.5000 0.0000
Pt 0.0000 0.5000 0.5000
Pt 0.5000 0.0000 0.0000
Pt 0.5000 0.0000 0.5000
Pt 0.5000 0.5000 0.0000
Pt 0.5000 0.5000 0.5000

Values from the calculation:
Its symmetry is Fm-3m. The calculation puts the magnetic moment at 0.130 μB per formula unit. The value obtained for the energy is -3.01 eV per atom. The value obtained for the calculated density is 9.22 g/cm³.

---

[8]
Entry from Materials Project: CaCdS2 after structural relaxation (GGA-PBE).

Cell: 4.0024 4.0024 19.0951 Å, 90.00 90.00 120.00°
Sites, in units of the cell vectors:
Ca 0.0000 0.0000 0.0000
Ca 0.3333 0.6667 0.6667
Ca 0.6667 0.3333 0.3333
Cd 0.0000 0.0000 0.5000
Cd 0.3333 0.6667 0.1667
Cd 0.6667 0.3333 0.8333
S 0.0000 0.0000 0.2469
S 0.0000 0.0000 0.7531
S 0.3333 0.6667 0.4197
S 0.3333 0.6667 0.9136
S 0.6667 0.3333 0.0864
S 0.6667 0.3333 0.5803

Values from the calculation:
Its symmetry is R-3m. The calculation puts the magnetic moment at 0.000 μB per formula unit. The value obtained for the energy is -4.11 eV per atom. The value obtained for the calculated density is 4.07 g/cm³.

---

Q: The highest calculated density belongs to which entry?
A: Ca3Cd8Pt4

---

Q: Which value of calculated density does entry 2 give?
A: 4.12 g/cm³

---

Q: What is the energy in the seventh record?
A: -3.01 eV per atom

---

Q: What is the formula in the eighth record?
A: CaCdS2